The following is a DFT calculation (PBE+U) of MgV8O20 after structural relaxation.

Summary:
Energy relative to the lowest polymorph listed for this composition: 0.11 eV/f.u.
Corrected total energy (MP2020 scheme): -8.337 eV per atom
E_tot: -7.394 eV per atom
Crystal system: monoclinic
Energy relative to the elements: -68.535 eV per formula unit

a b c (Å): 10.0398 3.6675 11.3492
angles (deg): 90.00 91.62 90.00
Fractional coordinates of all 29 atoms:
Mg (0.0000, 0.0000, 0.0000)
V (0.1217, 0.5000, 0.7887)
V (0.1753, 0.0000, 0.2056)
V (0.3158, 0.5000, 0.3858)
V (0.3710, 0.0000, 0.8019)
V (0.6196, 0.5000, 0.3027)
V (0.6851, 0.0000, 0.8608)
V (0.8165, 0.5000, 0.6741)
V (0.8678, 0.0000, 0.2952)
O (0.0275, 0.5000, 0.9157)
O (0.1736, 0.0000, 0.7684)
O (0.1738, 0.5000, 0.2652)
O (0.2027, 0.0000, 0.0602)
O (0.2500, 0.5000, 0.5136)
O (0.3179, 0.0000, 0.3314)
O (0.3201, 0.5000, 0.8257)
O (0.4438, 0.0000, 0.6779)
O (0.4965, 0.5000, 0.4138)
O (0.5155, 0.0000, 0.9069)
O (0.5374, 0.5000, 0.1785)
O (0.6735, 0.0000, 0.3240)
O (0.6844, 0.5000, 0.8101)
O (0.7529, 0.5000, 0.5424)
O (0.7903, 0.0000, 0.9759)
O (0.7983, 0.0000, 0.7256)
O (0.8151, 0.5000, 0.2732)
O (0.9610, 0.0000, 0.4129)
O (0.9810, 0.0000, 0.1746)
O (0.9908, 0.5000, 0.6672)